No. 1
{
  "formula": "Ca3Tl5",
  "functional": "r2SCAN",
  "state": "optimized geometry",
  "lattice": [[4.124, -5.182, 0.000], [4.124, 5.182, 0.000], [0.000, 0.000, 10.721]],
  "species": ["Ca", "Ca", "Ca", "Ca", "Ca", "Ca", "Tl", "Tl", "Tl", "Tl", "Tl", "Tl", "Tl", "Tl", "Tl", "Tl"],
  "fractional_positions": [[0.715, 0.285, 0.500], [0.285, 0.715, 0.500], [0.082, 0.082, 0.250], [0.285, 0.715, 0.000], [0.715, 0.285, 0.000], [0.918, 0.918, 0.750], [0.549, 0.981, 0.250], [0.796, 0.796, 0.466], [0.981, 0.549, 0.250], [0.522, 0.522, 0.750], [0.019, 0.451, 0.750], [0.204, 0.204, 0.966], [0.478, 0.478, 0.250], [0.796, 0.796, 0.034], [0.451, 0.019, 0.750], [0.204, 0.204, 0.534]],
  "e_form_ev_per_atom": -0.406,
  "m_tot_mub_per_atom": 0.00,
  "volume_a3_per_cell": 458,
  "dft_energy_ev_per_atom": -36.2823,
  "mass_density_g_cm3": 8.28
}

No. 2
{
  "formula": "Sr4CN4",
  "functional": "r2SCAN",
  "state": "optimized geometry",
  "lattice": [[3.821, 0.000, 0.000], [0.000, 12.298, 0.000], [0.000, 0.000, 14.416]],
  "species": ["Sr", "Sr", "Sr", "Sr", "Sr", "Sr", "Sr", "Sr", "Sr", "Sr", "Sr", "Sr", "Sr", "Sr", "Sr", "Sr", "N", "N", "N", "N", "N", "N", "N", "N", "N", "N", "N", "N", "N", "N", "N", "N", "C", "C", "C", "C"],
  "fractional_positions": [[0.250, 0.625, 0.532], [0.750, 0.375, 0.468], [0.250, 0.613, 0.096], [0.750, 0.660, 0.739], [0.250, 0.840, 0.239], [0.250, 0.406, 0.686], [0.750, 0.160, 0.761], [0.750, 0.094, 0.186], [0.250, 0.125, 0.968], [0.250, 0.906, 0.814], [0.750, 0.875, 0.032], [0.250, 0.113, 0.404], [0.250, 0.340, 0.261], [0.750, 0.594, 0.314], [0.750, 0.887, 0.596], [0.750, 0.387, 0.904], [0.750, 0.944, 0.371], [0.250, 0.280, 0.831], [0.750, 0.220, 0.331], [0.750, 0.444, 0.129], [0.250, 0.780, 0.669], [0.750, 0.514, 0.621], [0.750, 0.259, 0.063], [0.750, 0.720, 0.169], [0.250, 0.741, 0.937], [0.250, 0.986, 0.121], [0.250, 0.556, 0.871], [0.250, 0.486, 0.379], [0.250, 0.056, 0.629], [0.750, 0.014, 0.879], [0.250, 0.241, 0.563], [0.750, 0.759, 0.437], [0.750, 0.851, 0.403], [0.250, 0.649, 0.903], [0.750, 0.351, 0.097], [0.250, 0.149, 0.597]],
  "e_form_ev_per_atom": -0.845,
  "m_tot_mub_per_atom": 0.00,
  "volume_a3_per_cell": 677,
  "dft_energy_ev_per_atom": -12.7386,
  "mass_density_g_cm3": 4.10
}

No. 3
{
  "formula": "Zr2InNi2",
  "functional": "r2SCAN",
  "state": "optimized geometry",
  "lattice": [[3.318, 0.000, 0.000], [0.000, 7.184, 0.000], [0.000, 0.000, 7.184]],
  "species": ["Ni", "Ni", "Ni", "Ni", "Zr", "Zr", "Zr", "Zr", "In", "In"],
  "fractional_positions": [[0.000, 0.375, 0.125], [0.000, 0.625, 0.875], [0.000, 0.125, 0.625], [0.000, 0.875, 0.375], [0.500, 0.832, 0.668], [0.500, 0.668, 0.168], [0.500, 0.168, 0.332], [0.500, 0.332, 0.832], [0.000, 0.500, 0.500], [0.000, 0.000, 0.000]],
  "e_form_ev_per_atom": -0.550,
  "m_tot_mub_per_atom": 0.00,
  "volume_a3_per_cell": 171,
  "dft_energy_ev_per_atom": -18.9586,
  "mass_density_g_cm3": 8.04
}

No. 4
{
  "formula": "Zr3Cd",
  "functional": "r2SCAN",
  "state": "optimized geometry",
  "lattice": [[4.455, 0.000, 0.000], [0.000, 4.455, 0.000], [0.000, 0.000, 4.455]],
  "species": ["Cd", "Zr", "Zr", "Zr"],
  "fractional_positions": [[0.000, 0.000, 0.000], [0.500, 0.000, 0.500], [0.000, 0.500, 0.500], [0.500, 0.500, 0.000]],
  "e_form_ev_per_atom": -0.082,
  "m_tot_mub_per_atom": 0.00,
  "volume_a3_per_cell": 88,
  "dft_energy_ev_per_atom": -22.1708,
  "mass_density_g_cm3": 7.25
}

No. 5
{
  "formula": "Rb5Zr4F21",
  "functional": "r2SCAN",
  "state": "optimized geometry",
  "lattice": [[-4.364, -1.492, 10.161], [7.027, -1.991, 2.725], [3.641, 10.495, 3.105]],
  "species": ["F", "F", "F", "F", "F", "F", "F", "F", "F", "F", "F", "F", "F", "F", "F", "F", "F", "F", "F", "F", "F", "F", "F", "F", "F", "F", "F", "F", "F", "F", "F", "F", "F", "F", "F", "F", "F", "F", "F", "F", "F", "F", "Rb", "Rb", "Rb", "Rb", "Rb", "Rb", "Rb", "Rb", "Rb", "Rb", "Zr", "Zr", "Zr", "Zr", "Zr", "Zr", "Zr", "Zr"],
  "fractional_positions": [[0.554, 0.286, 0.153], [0.208, 0.254, 0.311], [0.205, 0.002, 0.766], [0.223, 0.768, 0.241], [0.436, 0.618, 0.408], [0.789, 0.339, 0.415], [0.004, 0.657, 0.200], [0.186, 0.635, 0.050], [0.369, 0.295, 0.615], [0.640, 0.113, 0.561], [0.164, 0.433, 0.698], [0.355, 0.898, 0.967], [0.708, 0.746, 0.689], [0.140, 0.887, 0.439], [0.936, 0.382, 0.592], [0.664, 0.567, 0.302], [0.195, 0.544, 0.404], [0.998, 0.387, 0.326], [0.609, 0.011, 0.002], [0.705, 0.998, 0.234], [0.407, 0.937, 0.290], [0.836, 0.520, 0.804], [0.498, 0.613, 0.674], [0.093, 0.343, 0.119], [0.872, 0.041, 0.496], [0.289, 0.661, 0.585], [0.791, 0.672, 0.124], [0.686, 0.365, 0.950], [0.504, 0.343, 0.800], [0.054, 0.714, 0.847], [0.593, 0.657, 0.881], [0.308, 0.673, 0.820], [0.291, 0.328, 0.876], [0.372, 0.959, 0.504], [0.336, 0.480, 0.196], [0.869, 0.705, 0.385], [0.907, 0.063, 0.710], [0.855, 0.102, 0.033], [0.723, 0.232, 0.759], [0.109, 0.989, 0.998], [0.695, 0.456, 0.596], [0.808, 0.327, 0.180], [0.523, 0.686, 0.114], [0.479, 0.281, 0.390], [0.824, 0.838, 0.900], [0.324, 0.162, 0.100], [0.979, 0.719, 0.610], [0.988, 0.026, 0.256], [0.488, 0.974, 0.744], [0.140, 0.191, 0.544], [0.640, 0.809, 0.456], [0.023, 0.314, 0.886], [0.695, 0.171, 0.090], [0.661, 0.503, 0.770], [0.840, 0.535, 0.276], [0.340, 0.465, 0.724], [0.161, 0.497, 0.230], [0.802, 0.213, 0.592], [0.302, 0.787, 0.408], [0.195, 0.829, 0.910]],
  "e_form_ev_per_atom": -3.764,
  "m_tot_mub_per_atom": 0.00,
  "volume_a3_per_cell": 993,
  "dft_energy_ev_per_atom": -11.3070,
  "mass_density_g_cm3": 3.99
}

No. 6
{
  "formula": "TmZnRh2",
  "functional": "r2SCAN",
  "state": "optimized geometry",
  "lattice": [[0.000, 3.172, 3.172], [3.172, 0.000, 3.172], [3.172, 3.172, 0.000]],
  "species": ["Rh", "Rh", "Tm", "Zn"],
  "fractional_positions": [[0.000, 0.000, 0.000], [0.500, 0.500, 0.500], [0.250, 0.250, 0.250], [0.750, 0.750, 0.750]],
  "e_form_ev_per_atom": -0.763,
  "m_tot_mub_per_atom": 0.00,
  "volume_a3_per_cell": 64,
  "dft_energy_ev_per_atom": -23.8395,
  "mass_density_g_cm3": 11.45
}

No. 7
{
  "formula": "Sc2O3",
  "functional": "r2SCAN",
  "state": "optimized geometry",
  "lattice": [[-2.805, -5.913, 5.489], [8.379, -1.053, -1.284], [-1.431, 7.781, 3.220]],
  "species": ["Sc", "Sc", "Sc", "Sc", "Sc", "Sc", "Sc", "Sc", "Sc", "Sc", "Sc", "Sc", "Sc", "Sc", "Sc", "Sc", "O", "O", "O", "O", "O", "O", "O", "O", "O", "O", "O", "O", "O", "O", "O", "O", "O", "O", "O", "O", "O", "O", "O", "O"],
  "fractional_positions": [[0.000, 0.500, 0.000], [0.964, 0.250, 0.214], [0.786, 0.036, 0.750], [0.214, 0.964, 0.250], [0.286, 0.536, 0.750], [0.250, 0.714, 0.464], [0.464, 0.250, 0.714], [0.536, 0.750, 0.286], [0.036, 0.750, 0.786], [0.714, 0.464, 0.250], [0.000, 0.000, 0.500], [0.500, 0.500, 0.500], [0.250, 0.214, 0.964], [0.500, 0.000, 0.000], [0.750, 0.786, 0.036], [0.750, 0.286, 0.536], [0.273, 0.737, 0.227], [0.464, 0.227, 0.454], [0.490, 0.763, 0.036], [0.510, 0.237, 0.964], [0.954, 0.727, 0.990], [0.273, 0.010, 0.046], [0.237, 0.964, 0.510], [0.727, 0.990, 0.954], [0.773, 0.727, 0.263], [0.454, 0.464, 0.227], [0.737, 0.227, 0.273], [0.227, 0.273, 0.737], [0.773, 0.546, 0.536], [0.263, 0.773, 0.727], [0.990, 0.954, 0.727], [0.536, 0.773, 0.546], [0.010, 0.046, 0.273], [0.727, 0.263, 0.773], [0.964, 0.510, 0.237], [0.046, 0.273, 0.010], [0.763, 0.036, 0.490], [0.227, 0.454, 0.464], [0.546, 0.536, 0.773], [0.036, 0.490, 0.763]],
  "e_form_ev_per_atom": -3.855,
  "m_tot_mub_per_atom": 0.00,
  "volume_a3_per_cell": 480,
  "dft_energy_ev_per_atom": -11.9984,
  "mass_density_g_cm3": 3.82
}

No. 8
{
  "formula": "LaMg",
  "functional": "r2SCAN",
  "state": "optimized geometry",
  "lattice": [[-3.951, 0.327, 0.316], [-0.455, -2.818, -2.770], [-0.004, -2.788, 2.837]],
  "species": ["La", "Mg"],
  "fractional_positions": [[0.500, 0.500, 0.500], [0.000, 0.000, 0.000]],
  "e_form_ev_per_atom": -0.108,
  "m_tot_mub_per_atom": 0.00,
  "volume_a3_per_cell": 63,
  "polymorph_energy_mev_per_atom": 6,
  "dft_energy_ev_per_atom": -17.0652,
  "mass_density_g_cm3": 4.31
}